1.
5
Lattice="3.965 0.003 -1.388 -0.496 3.934 -1.388 0.036 0.041 6.319" Properties=species:S:1:pos:R:3 comment="PrAl2Ga2 (meta-GGA r2SCAN, optimized geometry)" energy_ev_per_atom=-13.663 space_group="C2/m, No. 12" delta_e_f_ev_per_fu=-2.56 pbc="T T T"
Pr 0.000 0.000 0.000
Al 0.626 2.982 1.771
Al 2.880 0.996 1.771
Ga 2.128 2.415 -0.280
Ga 1.377 1.563 3.822

2.
6
Lattice="3.267 0.000 -0.399 0.000 4.523 0.000 -0.042 0.000 4.613" Properties=species:S:1:pos:R:3 comment="CuF2 (meta-GGA r2SCAN, optimized geometry)" energy_ev_per_atom=-7.515 space_group="P2_1/c, No. 14" delta_e_f_ev_per_fu=-5.45 pbc="T T T"
Cu 1.612 2.262 2.107
Cu 3.225 0.000 4.214
F 1.525 3.615 0.767
F 0.088 1.353 1.340
F 3.137 3.170 2.874
F 1.700 0.908 3.447

3.
12
Lattice="4.352 -0.001 6.114 1.953 3.890 6.114 -0.002 -0.001 7.505" Properties=species:S:1:pos:R:3 comment="Be3Nb (meta-GGA r2SCAN, optimized geometry)" energy_ev_per_atom=-9.695 space_group="R-3m, No. 166" delta_e_f_ev_per_fu=-1.03 pbc="T T T"
Be 3.152 1.943 9.866
Be 2.106 1.299 6.594
Be 4.197 2.588 13.137
Be 2.687 0.293 8.411
Be 3.680 2.269 7.705
Be 1.468 2.269 8.411
Be 4.835 1.618 11.320
Be 3.616 3.594 11.320
Be 2.623 1.618 12.027
Nb 0.000 0.000 0.000
Nb 0.882 0.544 2.761
Nb 5.421 3.343 16.971

4.
4
Lattice="0.000 3.710 3.710 3.710 0.000 3.710 3.710 3.710 0.000" Properties=species:S:1:pos:R:3 comment="Ca2ZnHg (meta-GGA r2SCAN, optimized geometry)" energy_ev_per_atom=-18.496 space_group="Fm-3m, No. 225" delta_e_f_ev_per_fu=-1.63 pbc="T T T"
Ca 5.565 5.565 5.565
Ca 1.855 1.855 1.855
Zn 0.000 0.000 0.000
Hg 3.710 3.710 3.710

5.
28
Lattice="-5.076 -5.076 0.000 -5.076 0.000 -5.076 0.000 -5.076 -5.076" Properties=species:S:1:pos:R:3 comment="TmBe13 (meta-GGA r2SCAN, optimized geometry)" energy_ev_per_atom=-6.737 space_group="Fm-3c, No. 226" delta_e_f_ev_per_fu=-2.81 pbc="T T T"
Tm -7.614 -7.614 -7.614
Tm -2.538 -2.538 -2.538
Be -5.076 -5.076 -5.076
Be 0.000 0.000 0.000
Be -6.234 -5.076 -3.286
Be -3.919 -5.076 -6.867
Be -3.918 -5.076 -3.286
Be -6.234 -5.076 -6.867
Be -1.791 -5.076 -3.918
Be -8.362 -5.077 -6.234
Be -8.362 -5.077 -3.918
Be -1.791 -5.076 -6.234
Be -3.286 -6.234 -5.076
Be -6.867 -3.919 -5.076
Be -3.286 -3.918 -5.076
Be -6.867 -6.234 -5.076
Be -3.918 -1.791 -5.076
Be -6.234 -8.362 -5.077
Be -3.918 -8.362 -5.077
Be -6.234 -1.791 -5.076
Be -5.076 -3.286 -6.234
Be -5.076 -6.867 -3.919
Be -5.076 -3.286 -3.918
Be -5.076 -6.867 -6.234
Be -5.076 -3.918 -1.791
Be -5.077 -6.234 -8.362
Be -5.077 -3.918 -8.362
Be -5.076 -6.234 -1.791

6.
32
Lattice="5.589 5.590 0.001 -5.589 5.590 0.001 0.000 2.795 15.465" Properties=species:S:1:pos:R:3 comment="RbInS2 (meta-GGA r2SCAN, optimized geometry)" energy_ev_per_atom=-14.301 space_group="C2/c, No. 15" delta_e_f_ev_per_fu=-4.63 pbc="T T T"
Rb 2.098 6.296 1.735
Rb 0.696 4.892 13.724
Rb -0.696 9.083 1.743
Rb -0.696 3.495 5.991
Rb 2.098 6.282 5.999
Rb 0.696 10.481 9.476
Rb -2.098 7.693 9.468
Rb -2.098 7.680 13.732
In -2.107 7.678 5.255
In -2.107 4.900 2.480
In 2.107 9.075 12.987
In 0.707 2.086 2.475
In -0.707 11.890 12.992
In 2.107 6.298 10.212
In 0.707 10.493 5.260
In -0.707 3.483 10.207
S 2.096 3.585 3.862
S 4.799 6.289 3.867
S 2.096 8.994 3.872
S 3.494 7.684 8.708
S -0.705 9.088 6.732
S 0.705 10.485 14.465
S -3.494 6.291 6.759
S -4.799 7.686 11.600
S -2.096 4.982 11.594
S 0.608 7.686 11.600
S -3.494 6.287 0.976
S -0.608 6.289 3.867
S -2.096 10.391 11.605
S 3.494 7.689 14.491
S 0.705 4.888 8.735
S -0.705 3.491 1.002

7.
28
Lattice="3.774 -6.508 0.000 3.774 6.508 0.000 0.000 0.000 9.495" Properties=species:S:1:pos:R:3 comment="Gd2Ga9Ir3 (meta-GGA r2SCAN, optimized geometry)" energy_ev_per_atom=-25.519 space_group="Cmcm, No. 63" delta_e_f_ev_per_fu=-10.41 pbc="T T T"
Gd 6.289 -2.138 2.374
Gd 1.258 2.138 7.121
Gd 6.289 2.138 2.374
Gd 1.258 -2.138 7.121
Ga 0.982 0.000 2.374
Ga 6.565 0.000 7.121
Ga 1.268 2.167 0.743
Ga 6.279 -2.167 8.752
Ga 6.279 -2.167 5.491
Ga 1.268 -2.167 4.004
Ga 1.268 2.167 4.004
Ga 6.279 2.167 5.491
Ga 6.279 2.167 8.752
Ga 1.268 -2.167 0.743
Ga 2.523 0.000 5.365
Ga 5.024 0.000 4.130
Ga 5.024 0.000 0.618
Ga 2.523 0.000 8.877
Ga 3.328 1.339 2.374
Ga 4.219 -1.339 7.121
Ga 3.328 -1.339 2.374
Ga 4.219 1.339 7.121
Ir 3.774 -2.227 0.000
Ir 3.774 2.227 0.000
Ir 3.774 2.227 4.748
Ir 3.774 -2.227 4.748
Ir 0.000 0.000 0.000
Ir 0.000 0.000 4.748

8.
4
Lattice="3.648 -3.125 -1.174 3.561 0.449 3.400 -4.866 -0.734 0.482" Properties=species:S:1:pos:R:3 comment="PdAu3 (meta-GGA r2SCAN, optimized geometry)" energy_ev_per_atom=-43.775 space_group="I4/mmm, No. 139" delta_e_f_ev_per_fu=-0.39 pbc="T T T"
Pd 0.000 0.000 0.000
Au 1.193 -2.598 0.211
Au 1.150 -0.811 2.498
Au 3.605 -1.338 1.113